The following is a DFT calculation (meta-GGA r2SCAN) of AcMg3 after structural relaxation.

Computed properties:
calculated volume = 28.5 A^3/atom
energy relative to the elements = -0.063 eV per atom

Structure (CIF):
```
data_AcMg3
_chemical_formula_sum 'Ac2 Mg6'
_cell_length_a 5.448
_cell_length_b 5.448
_cell_length_c 7.688
_cell_angle_alpha 90.00
_cell_angle_beta 90.00
_cell_angle_gamma 90.00
_symmetry_space_group_name_H-M 'I 4/m m m'
_symmetry_Int_Tables_number 139
_symmetry_space_group_name_Hall '-I 4 2'
loop_
_atom_site_label
_atom_site_type_symbol
_atom_site_fract_x
_atom_site_fract_y
_atom_site_fract_z
Ac1 Ac 0.000 0.000 0.000
Mg1 Mg 0.000 0.000 0.500
Mg2 Mg 0.000 0.500 0.250
```